PmHoIr2: relaxed, GGA-PBE.

symmetry = Fm-3m (225)
DFT formation energy = -0.7263 eV/atom
raw total energy = -29.92 eV per cell

Unit cell a=4.9080 b=4.9080 c=4.9080 alpha=60.00 beta=60.00 gamma=60.00
Fractional positions:
Pm  0.0000  0.0000  0.0000
Ho  0.5000  0.5000  0.5000
Ir  0.2500  0.2500  0.2500
Ir  0.7500  0.7500  0.7500